[1]
Here is an optimized crystal structure of DyGe2Rh2 from Materials Project. Energies are from PBE-GGA.

Structure (POSCAR):
```
DyGe2Rh2
1.0
-2.072 2.072 5.187
2.072 -2.072 5.187
2.072 2.072 -5.187
Dy Ge Rh
1 2 2
direct
0.000 0.000 0.000 Dy
0.379 0.379 0.000 Ge
0.621 0.621 0.000 Ge
0.250 0.750 0.500 Rh
0.750 0.250 0.500 Rh
```

* calculated formation energy: -881 meV per atom
* VASP energy: -6.5971 eV per atom
* calculated density: 9570 kg/m3

[2]
Here is an optimized crystal structure of CeTl9Te6 from Materials Project. Energies are from PBE-GGA.

Structure (POSCAR):
```
CeTl9Te6
1.0
-4.538 4.538 6.830
4.538 -4.538 6.830
4.538 4.538 -6.830
Ce Tl Te
1 9 6
direct
0.000 0.000 0.000 Ce
0.000 0.482 0.796 Tl
0.000 0.518 0.204 Tl
0.204 0.000 0.519 Tl
0.315 0.796 0.796 Tl
0.482 0.685 0.481 Tl
0.500 0.500 0.000 Tl
0.518 0.315 0.519 Tl
0.685 0.204 0.204 Tl
0.796 0.000 0.481 Tl
0.151 0.325 0.477 Te
0.237 0.237 0.000 Te
0.325 0.849 0.174 Te
0.675 0.151 0.826 Te
0.763 0.763 0.000 Te
0.849 0.675 0.523 Te
```

* calculated formation energy: -641 meV per atom
* VASP energy: -3.3611 eV per atom
* calculated density: 8103 kg/m3

[3]
Here is an optimized crystal structure of KMg6Zn from Materials Project. Energies are from PBE-GGA.

Structure (POSCAR):
```
KMg6Zn
1.0
5.164 0.000 0.000
0.000 3.051 6.754
0.000 -3.051 6.754
K Mg Zn
1 6 1
direct
0.000 0.000 0.000 K
0.000 0.489 0.980 Mg
0.000 0.980 0.489 Mg
0.500 0.121 0.609 Mg
0.500 0.165 0.165 Mg
0.500 0.597 0.597 Mg
0.500 0.609 0.121 Mg
0.000 0.422 0.422 Zn
```

* calculated formation energy: 175 meV per atom
* VASP energy: -1.3214 eV per atom
* relative energy among the computed polymorphs: 0.8 kJ/mol of atoms
* calculated density: 1953 kg/m3

[4]
Here is an optimized crystal structure of Na5In2Te6 from Materials Project. Energies are from PBE-GGA.

Structure (POSCAR):
```
Na5In2Te6
1.0
4.570 -7.745 0.000
4.570 7.745 0.000
0.000 0.000 23.885
Na In Te
20 8 24
direct
0.004 0.508 0.000 Na
0.065 0.418 0.837 Na
0.067 0.316 0.249 Na
0.182 0.341 0.662 Na
0.246 0.251 0.997 Na
0.251 0.246 0.497 Na
0.316 0.067 0.749 Na
0.341 0.182 0.162 Na
0.418 0.065 0.337 Na
0.492 0.996 0.000 Na
0.508 0.004 0.500 Na
0.582 0.935 0.837 Na
0.659 0.818 0.662 Na
0.684 0.933 0.249 Na
0.749 0.754 0.997 Na
0.754 0.749 0.497 Na
0.818 0.659 0.162 Na
0.933 0.684 0.749 Na
0.935 0.582 0.337 Na
0.996 0.492 0.500 Na
0.012 0.988 0.869 In
0.234 0.766 0.627 In
0.284 0.716 0.132 In
0.466 0.534 0.369 In
0.534 0.466 0.869 In
0.716 0.284 0.632 In
0.766 0.234 0.127 In
0.988 0.012 0.369 In
0.047 0.953 0.257 Te
0.107 0.368 0.390 Te
0.124 0.359 0.109 Te
0.129 0.871 0.074 Te
0.130 0.870 0.440 Te
0.280 0.720 0.252 Te
0.296 0.704 0.739 Te
0.359 0.124 0.609 Te
0.368 0.107 0.890 Te
0.378 0.622 0.557 Te
0.378 0.622 0.925 Te
0.469 0.531 0.248 Te
0.531 0.469 0.748 Te
0.622 0.378 0.057 Te
0.622 0.378 0.425 Te
0.632 0.893 0.390 Te
0.641 0.876 0.109 Te
0.704 0.296 0.239 Te
0.720 0.280 0.752 Te
0.870 0.130 0.940 Te
0.871 0.129 0.574 Te
0.876 0.641 0.609 Te
0.893 0.632 0.890 Te
0.953 0.047 0.757 Te
```

* calculated formation energy: -893 meV per atom
* VASP energy: -3.0813 eV per atom
* calculated density: 4361 kg/m3

[5]
Here is an optimized crystal structure of TlSnF7 from Materials Project. Energies are from PBE-GGA.

Structure (POSCAR):
```
TlSnF7
1.0
8.896 0.000 0.000
0.000 5.570 0.000
-5.555 0.000 10.752
Tl Sn F
4 4 28
direct
0.185 0.240 0.264 Tl
0.185 0.260 0.764 Tl
0.815 0.740 0.236 Tl
0.815 0.760 0.736 Tl
0.272 0.739 0.043 Sn
0.272 0.761 0.543 Sn
0.728 0.239 0.457 Sn
0.728 0.261 0.957 Sn
0.020 0.743 0.951 F
0.020 0.757 0.451 F
0.037 0.601 0.730 F
0.037 0.899 0.230 F
0.263 0.546 0.182 F
0.263 0.954 0.682 F
0.268 0.073 0.457 F
0.268 0.427 0.957 F
0.281 0.029 0.144 F
0.281 0.471 0.644 F
0.295 0.561 0.415 F
0.295 0.939 0.915 F
0.477 0.208 0.364 F
0.477 0.292 0.864 F
0.523 0.708 0.136 F
0.523 0.792 0.636 F
0.705 0.061 0.085 F
0.705 0.439 0.585 F
0.719 0.529 0.356 F
0.719 0.971 0.856 F
0.732 0.573 0.043 F
0.732 0.927 0.543 F
0.737 0.046 0.318 F
0.737 0.454 0.818 F
0.963 0.101 0.770 F
0.963 0.399 0.270 F
0.980 0.243 0.549 F
0.980 0.257 0.049 F
```

* calculated formation energy: -2475 meV per atom
* VASP energy: -4.3125 eV per atom
* calculated density: 5686 kg/m3

[6]
Here is an optimized crystal structure of La2Sb4Ir3 from Materials Project. Energies are from PBE-GGA.

Structure (POSCAR):
```
La2Sb4Ir3
1.0
16.430 0.000 0.000
0.000 4.638 0.000
0.000 0.000 11.095
La Sb Ir
8 16 12
direct
0.006 0.250 0.249 La
0.250 0.250 0.088 La
0.250 0.750 0.588 La
0.494 0.750 0.749 La
0.506 0.250 0.251 La
0.750 0.250 0.412 La
0.750 0.750 0.912 La
0.994 0.750 0.751 La
0.068 0.750 0.450 Sb
0.104 0.750 0.062 Sb
0.151 0.250 0.776 Sb
0.208 0.250 0.385 Sb
0.292 0.750 0.885 Sb
0.349 0.750 0.276 Sb
0.396 0.250 0.562 Sb
0.432 0.250 0.950 Sb
0.568 0.750 0.050 Sb
0.604 0.750 0.438 Sb
0.651 0.250 0.724 Sb
0.708 0.250 0.115 Sb
0.792 0.750 0.615 Sb
0.849 0.750 0.224 Sb
0.896 0.250 0.938 Sb
0.932 0.250 0.550 Sb
0.057 0.250 0.965 Ir
0.092 0.250 0.557 Ir
0.181 0.750 0.277 Ir
0.319 0.250 0.777 Ir
0.408 0.750 0.057 Ir
0.443 0.750 0.465 Ir
0.557 0.250 0.535 Ir
0.592 0.250 0.943 Ir
0.681 0.750 0.223 Ir
0.819 0.250 0.723 Ir
0.908 0.750 0.443 Ir
0.943 0.750 0.035 Ir
```

* calculated formation energy: -766 meV per atom
* VASP energy: -6.6446 eV per atom
* calculated density: 10539 kg/m3

[7]
Here is an optimized crystal structure of Li3CuF6 from Materials Project. Energies are from PBE-GGA.

Structure (POSCAR):
```
Li3CuF6
1.0
5.194 0.000 0.000
0.000 9.171 0.000
0.000 0.000 17.297
Li Cu F
24 8 48
direct
0.198 0.248 0.170 Li
0.198 0.248 0.330 Li
0.198 0.252 0.670 Li
0.198 0.252 0.830 Li
0.213 0.557 0.573 Li
0.213 0.557 0.927 Li
0.213 0.943 0.073 Li
0.213 0.943 0.427 Li
0.293 0.577 0.129 Li
0.293 0.577 0.371 Li
0.293 0.923 0.629 Li
0.293 0.923 0.871 Li
0.707 0.077 0.129 Li
0.707 0.077 0.371 Li
0.707 0.423 0.629 Li
0.707 0.423 0.871 Li
0.787 0.057 0.573 Li
0.787 0.057 0.927 Li
0.787 0.443 0.073 Li
0.787 0.443 0.427 Li
0.802 0.748 0.170 Li
0.802 0.748 0.330 Li
0.802 0.752 0.670 Li
0.802 0.752 0.830 Li
0.194 0.250 0.000 Cu
0.194 0.250 0.500 Cu
0.261 0.555 0.750 Cu
0.261 0.945 0.250 Cu
0.739 0.055 0.750 Cu
0.739 0.445 0.250 Cu
0.806 0.750 0.000 Cu
0.806 0.750 0.500 Cu
0.030 0.503 0.668 F
0.030 0.503 0.832 F
0.030 0.997 0.168 F
0.030 0.997 0.332 F
0.073 0.738 0.078 F
0.073 0.738 0.422 F
0.073 0.762 0.578 F
0.073 0.762 0.922 F
0.089 0.740 0.750 F
0.089 0.760 0.250 F
0.215 0.048 0.531 F
0.215 0.048 0.969 F
0.215 0.452 0.031 F
0.215 0.452 0.469 F
0.391 0.140 0.250 F
0.391 0.360 0.750 F
0.408 0.177 0.082 F
0.408 0.177 0.418 F
0.408 0.323 0.582 F
0.408 0.323 0.918 F
0.497 0.095 0.669 F
0.497 0.095 0.831 F
0.497 0.405 0.169 F
0.497 0.405 0.331 F
0.503 0.595 0.669 F
0.503 0.595 0.831 F
0.503 0.905 0.169 F
0.503 0.905 0.331 F
0.592 0.677 0.082 F
0.592 0.677 0.418 F
0.592 0.823 0.582 F
0.592 0.823 0.918 F
0.609 0.640 0.250 F
0.609 0.860 0.750 F
0.785 0.548 0.531 F
0.785 0.548 0.969 F
0.785 0.952 0.031 F
0.785 0.952 0.469 F
0.911 0.240 0.750 F
0.911 0.260 0.250 F
0.927 0.238 0.078 F
0.927 0.238 0.422 F
0.927 0.262 0.578 F
0.927 0.262 0.922 F
0.970 0.003 0.668 F
0.970 0.003 0.832 F
0.970 0.497 0.168 F
0.970 0.497 0.332 F
```

* calculated formation energy: -2552 meV per atom
* VASP energy: -4.4060 eV per atom
* relative energy among the computed polymorphs: 5.4 kJ/mol of atoms
* calculated density: 3198 kg/m3

[8]
Here is an optimized crystal structure of Hf2BIr6 from Materials Project. Energies are from PBE-GGA.

Structure (POSCAR):
```
Hf2BIr6
1.0
4.097 0.000 0.000
0.000 4.097 0.000
0.000 0.000 7.990
Hf B Ir
2 1 6
direct
0.000 0.000 0.237 Hf
0.000 0.000 0.763 Hf
0.500 0.500 0.500 B
0.000 0.500 0.000 Ir
0.000 0.500 0.500 Ir
0.500 0.000 0.000 Ir
0.500 0.000 0.500 Ir
0.500 0.500 0.239 Ir
0.500 0.500 0.761 Ir
```

* calculated formation energy: -786 meV per atom
* VASP energy: -9.6335 eV per atom
* calculated density: 18833 kg/m3

[9]
Here is an optimized crystal structure of Cr2FeSe3S from Materials Project. Energies are from PBE-GGA.

Structure (POSCAR):
```
Cr2FeSe3S
1.0
6.187 -1.773 0.000
6.187 1.773 0.000
-2.931 0.000 5.505
Cr Fe Se S
2 1 3 1
direct
0.000 0.000 0.000 Cr
0.518 0.518 0.542 Cr
0.238 0.238 0.270 Fe
0.144 0.144 0.827 Se
0.370 0.370 0.714 Se
0.879 0.879 0.241 Se
0.629 0.629 0.297 S
```

* calculated formation energy: -486 meV per atom
* VASP energy: -6.4717 eV per atom
* calculated density: 5896 kg/m3

[10]
Here is an optimized crystal structure of Mg2Al3Si6O18 from Materials Project. Energies are from PBE-GGA.

Structure (POSCAR):
```
Mg2Al3Si6O18
1.0
4.960 -8.011 0.000
4.960 8.011 0.000
0.000 0.000 10.275
Mg Al Si O
4 6 12 36
direct
0.204 0.796 0.250 Mg
0.204 0.796 0.750 Mg
0.796 0.204 0.250 Mg
0.796 0.204 0.750 Mg
0.000 0.000 0.250 Al
0.000 0.000 0.750 Al
0.000 0.500 0.238 Al
0.000 0.500 0.762 Al
0.500 0.000 0.262 Al
0.500 0.000 0.738 Al
0.112 0.381 0.000 Si
0.160 0.278 0.500 Si
0.210 0.635 0.500 Si
0.278 0.160 0.000 Si
0.365 0.790 0.000 Si
0.381 0.112 0.500 Si
0.619 0.888 0.500 Si
0.635 0.210 0.000 Si
0.722 0.840 0.000 Si
0.790 0.365 0.500 Si
0.840 0.722 0.500 Si
0.888 0.619 0.000 Si
0.003 0.322 0.133 O
0.003 0.322 0.867 O
0.098 0.644 0.381 O
0.098 0.644 0.619 O
0.214 0.591 0.000 O
0.218 0.586 0.188 O
0.218 0.586 0.812 O
0.233 0.472 0.500 O
0.249 0.318 0.000 O
0.318 0.249 0.500 O
0.322 0.003 0.367 O
0.322 0.003 0.633 O
0.356 0.902 0.119 O
0.356 0.902 0.881 O
0.409 0.786 0.500 O
0.414 0.782 0.312 O
0.414 0.782 0.688 O
0.472 0.233 0.000 O
0.528 0.767 0.000 O
0.586 0.218 0.312 O
0.586 0.218 0.688 O
0.591 0.214 0.500 O
0.644 0.098 0.119 O
0.644 0.098 0.881 O
0.678 0.997 0.367 O
0.678 0.997 0.633 O
0.682 0.751 0.500 O
0.751 0.682 0.000 O
0.767 0.528 0.500 O
0.782 0.414 0.188 O
0.782 0.414 0.812 O
0.786 0.409 0.000 O
0.902 0.356 0.381 O
0.902 0.356 0.619 O
0.997 0.678 0.133 O
0.997 0.678 0.867 O
```

* calculated formation energy: -2202 meV per atom
* VASP energy: -6.4667 eV per atom
* calculated density: 2384 kg/m3

[11]
Here is an optimized crystal structure of Co3Sn2S2 from Materials Project. Energies are from PBE-GGA.

Structure (POSCAR):
```
Co3Sn2S2
1.0
2.696 1.556 4.389
-2.696 1.556 4.389
0.000 -3.113 4.389
Co Sn S
3 2 2
direct
0.000 0.500 0.500 Co
0.500 0.000 0.500 Co
0.500 0.500 0.000 Co
0.000 0.000 0.000 Sn
0.500 0.500 0.500 Sn
0.220 0.220 0.220 S
0.780 0.780 0.780 S
```

* calculated formation energy: -494 meV per atom
* VASP energy: -5.7246 eV per atom
* calculated density: 7188 kg/m3

- The lowest VASP energy belongs to which entry?
  Hf2BIr6